1.
## CrO2 (GGA+U)

Data for a relaxed CrO2 crystal.

```
CrO2
1.0
5.227 0.000 0.000
0.000 2.859 0.000
-1.626 0.000 9.412
Cr O
4 8
direct
0.239 0.000 0.247
0.261 0.500 0.753
0.739 0.500 0.247
0.761 0.000 0.753
0.117 0.500 0.350
0.126 0.000 0.854
0.374 0.500 0.146
0.383 0.000 0.650
0.617 0.000 0.350
0.626 0.500 0.854
0.874 0.000 0.146
0.883 0.500 0.650
```

Results
The space-group type is C2/m. Its final energy is -84.68 eV per cell. The calculation puts the total energy after the MP2020 corrections at -98.17 eV for the cell shown.

=====

2.
## NdMo6O12 (GGA+U)

Data for a relaxed NdMo6O12 crystal.

```
NdMo6O12
1.0
-5.041 5.041 4.368
5.041 -5.041 4.368
5.041 5.041 -4.368
Nd Mo O
2 12 24
direct
0.207 0.207 0.000
0.793 0.793 0.000
0.002 0.154 0.476
0.154 0.678 0.151
0.184 0.663 0.847
0.322 0.474 0.476
0.337 0.184 0.521
0.474 0.998 0.151
0.526 0.002 0.849
0.663 0.816 0.479
0.678 0.526 0.524
0.816 0.337 0.153
0.846 0.322 0.849
0.998 0.846 0.524
0.123 0.157 0.281
0.124 0.497 0.288
0.157 0.877 0.034
0.164 0.460 0.956
0.164 0.461 0.625
0.165 0.876 0.374
0.208 0.164 0.704
0.209 0.835 0.712
0.460 0.504 0.296
0.461 0.836 0.297
0.496 0.792 0.956
0.497 0.209 0.374
0.503 0.791 0.626
0.504 0.208 0.044
0.539 0.164 0.703
0.540 0.496 0.704
0.791 0.165 0.288
0.792 0.836 0.296
0.835 0.124 0.626
0.836 0.539 0.375
0.836 0.540 0.044
0.843 0.123 0.966
0.876 0.503 0.712
0.877 0.843 0.719
```

Results
The space-group type is I4/m. Its final energy is -275.02 eV per cell. The calculation puts the total energy after the MP2020 corrections at -329.93 eV for the cell shown.

=====

3.
## Li2Cr2P2O9 (GGA+U)

Data for a relaxed Li2Cr2P2O9 crystal.

```
Li2Cr2P2O9
1.0
8.387 0.000 0.000
0.000 5.595 0.000
0.000 0.000 14.381
Li Cr P O
8 8 8 36
direct
0.017 0.250 0.126
0.029 0.250 0.742
0.471 0.750 0.242
0.483 0.750 0.626
0.517 0.250 0.374
0.529 0.250 0.758
0.971 0.750 0.258
0.983 0.750 0.874
0.000 0.000 0.500
0.000 0.500 0.500
0.210 0.250 0.936
0.290 0.750 0.436
0.500 0.000 0.000
0.500 0.500 0.000
0.710 0.250 0.564
0.790 0.750 0.064
0.171 0.750 0.069
0.205 0.250 0.329
0.295 0.750 0.829
0.329 0.250 0.569
0.671 0.750 0.431
0.705 0.250 0.171
0.795 0.750 0.671
0.829 0.250 0.931
0.012 0.750 0.014
0.060 0.750 0.413
0.063 0.250 0.405
0.130 0.250 0.236
0.150 0.750 0.172
0.184 0.527 0.847
0.184 0.973 0.847
0.235 0.016 0.536
0.235 0.484 0.536
0.265 0.516 0.036
0.265 0.984 0.036
0.316 0.027 0.347
0.316 0.473 0.347
0.350 0.250 0.672
0.370 0.750 0.736
0.437 0.750 0.905
0.440 0.250 0.913
0.488 0.250 0.514
0.512 0.750 0.486
0.560 0.750 0.087
0.563 0.250 0.095
0.630 0.250 0.264
0.650 0.750 0.328
0.684 0.527 0.653
0.684 0.973 0.653
0.735 0.016 0.964
0.735 0.484 0.964
0.765 0.516 0.464
0.765 0.984 0.464
0.816 0.027 0.153
0.816 0.473 0.153
0.850 0.250 0.828
0.870 0.750 0.764
0.937 0.750 0.595
0.940 0.250 0.587
0.988 0.250 0.986
```

Results
The space-group type is Pnma. Its final energy is -426.52 eV per cell. The calculation puts the total energy after the MP2020 corrections at -467.24 eV for the cell shown.

=====

4.
## NaNi2BiO6 (GGA+U)

Data for a relaxed NaNi2BiO6 crystal.

```
NaNi2BiO6
1.0
2.665 1.539 4.338
-2.665 1.539 4.338
0.000 -3.077 4.338
Na Ni Bi O
1 2 1 6
direct
0.000 0.000 0.000
0.237 0.237 0.237
0.737 0.737 0.737
0.513 0.513 0.513
0.074 0.895 0.478
0.405 0.567 0.960
0.478 0.074 0.895
0.567 0.960 0.405
0.895 0.478 0.074
0.960 0.405 0.567
```

Results
The space-group type is R3. Its final energy is -48.40 eV per cell. The calculation puts the total energy after the MP2020 corrections at -57.61 eV for the cell shown.

=====

5.
## Fe5B6O18 (GGA+U)

Data for a relaxed Fe5B6O18 crystal.

```
Fe5B6O18
1.0
3.912 0.000 0.000
0.000 15.933 0.000
0.000 0.000 11.969
Fe B O
10 12 36
direct
0.250 0.060 0.053
0.250 0.250 0.009
0.250 0.440 0.053
0.250 0.634 0.130
0.250 0.866 0.130
0.750 0.134 0.870
0.750 0.366 0.870
0.750 0.560 0.947
0.750 0.750 0.991
0.750 0.940 0.947
0.250 0.017 0.298
0.250 0.173 0.254
0.250 0.327 0.254
0.250 0.483 0.298
0.250 0.625 0.379
0.250 0.875 0.379
0.750 0.125 0.621
0.750 0.375 0.621
0.750 0.517 0.702
0.750 0.673 0.746
0.750 0.827 0.746
0.750 0.983 0.702
0.250 0.102 0.321
0.250 0.140 0.916
0.250 0.166 0.139
0.250 0.250 0.305
0.250 0.334 0.139
0.250 0.360 0.916
0.250 0.398 0.321
0.250 0.512 0.190
0.250 0.538 0.386
0.250 0.557 0.982
0.250 0.666 0.480
0.250 0.669 0.282
0.250 0.750 0.044
0.250 0.831 0.282
0.250 0.834 0.480
0.250 0.943 0.982
0.250 0.962 0.386
0.250 0.988 0.190
0.750 0.012 0.810
0.750 0.038 0.614
0.750 0.057 0.018
0.750 0.166 0.520
0.750 0.169 0.718
0.750 0.250 0.956
0.750 0.331 0.718
0.750 0.334 0.520
0.750 0.443 0.018
0.750 0.462 0.614
0.750 0.488 0.810
0.750 0.602 0.679
0.750 0.640 0.084
0.750 0.666 0.861
0.750 0.750 0.695
0.750 0.834 0.861
0.750 0.860 0.084
0.750 0.898 0.679
```

Results
The space-group type is Pmmn. Its final energy is -415.65 eV per cell. The calculation puts the total energy after the MP2020 corrections at -462.94 eV for the cell shown.

=====

6.
## Li9Mn2Co5O16 (GGA+U)

Data for a relaxed Li9Mn2Co5O16 crystal.

```
Li9Mn2Co5O16
1.0
6.485 -1.447 0.000
6.485 1.447 0.000
-0.471 0.000 15.473
Li Mn Co O
9 2 5 16
direct
0.000 0.000 0.000
0.062 0.062 0.178
0.125 0.125 0.359
0.245 0.245 0.743
0.377 0.377 0.119
0.500 0.500 0.490
0.622 0.622 0.871
0.746 0.746 0.234
0.876 0.876 0.614
0.815 0.815 0.429
0.935 0.935 0.803
0.187 0.187 0.556
0.307 0.307 0.934
0.450 0.450 0.295
0.562 0.562 0.674
0.673 0.673 0.060
0.030 0.030 0.588
0.078 0.078 0.770
0.162 0.162 0.962
0.217 0.217 0.138
0.283 0.283 0.350
0.343 0.343 0.512
0.407 0.407 0.720
0.461 0.461 0.883
0.538 0.538 0.081
0.586 0.586 0.278
0.671 0.671 0.469
0.713 0.713 0.642
0.791 0.791 0.837
0.841 0.841 0.015
0.905 0.905 0.219
0.954 0.954 0.393
```

Results
The space-group type is Cm. Its final energy is -184.95 eV per cell. The calculation puts the total energy after the MP2020 corrections at -207.47 eV for the cell shown.

=====

7.
## Fe7P8O28 (GGA+U)

Data for a relaxed Fe7P8O28 crystal.

```
Fe7P8O28
1.0
4.287 -4.926 0.000
4.287 4.926 0.000
0.000 0.000 23.954
Fe P O
14 16 56
direct
0.086 0.785 0.124
0.180 0.464 0.862
0.192 0.192 0.500
0.215 0.914 0.376
0.221 0.779 0.750
0.429 0.429 0.000
0.464 0.180 0.138
0.536 0.820 0.638
0.571 0.571 0.500
0.779 0.221 0.250
0.785 0.086 0.876
0.808 0.808 0.000
0.820 0.536 0.362
0.914 0.215 0.624
0.024 0.740 0.620
0.095 0.690 0.496
0.202 0.276 0.733
0.260 0.976 0.880
0.276 0.202 0.267
0.310 0.905 0.004
0.322 0.426 0.376
0.426 0.322 0.624
0.574 0.678 0.124
0.678 0.574 0.876
0.690 0.095 0.504
0.724 0.798 0.767
0.740 0.024 0.380
0.798 0.724 0.233
0.905 0.310 0.996
0.976 0.260 0.120
0.003 0.770 0.201
0.072 0.484 0.120
0.092 0.280 0.242
0.104 0.794 0.557
0.109 0.136 0.871
0.115 0.819 0.038
0.121 0.401 0.979
0.136 0.109 0.129
0.168 0.588 0.373
0.181 0.885 0.462
0.203 0.456 0.775
0.206 0.896 0.943
0.207 0.784 0.844
0.216 0.793 0.656
0.221 0.225 0.405
0.225 0.221 0.595
0.230 0.997 0.299
0.243 0.526 0.497
0.280 0.092 0.758
0.372 0.376 0.687
0.376 0.372 0.313
0.401 0.121 0.021
0.412 0.832 0.127
0.456 0.203 0.225
0.470 0.490 0.902
0.474 0.757 0.003
0.484 0.072 0.880
0.490 0.470 0.098
0.510 0.530 0.598
0.516 0.928 0.380
0.526 0.243 0.503
0.530 0.510 0.402
0.544 0.797 0.725
0.588 0.168 0.627
0.599 0.879 0.521
0.624 0.628 0.813
0.628 0.624 0.187
0.720 0.908 0.258
0.757 0.474 0.997
0.770 0.003 0.799
0.775 0.779 0.095
0.779 0.775 0.905
0.784 0.207 0.156
0.793 0.216 0.344
0.794 0.104 0.443
0.797 0.544 0.275
0.819 0.115 0.962
0.832 0.412 0.873
0.864 0.891 0.629
0.879 0.599 0.479
0.885 0.181 0.538
0.891 0.864 0.371
0.896 0.206 0.057
0.908 0.720 0.742
0.928 0.516 0.620
0.997 0.230 0.701
```

Results
The space-group type is C222_1. Its final energy is -617.26 eV per cell. The calculation puts the total energy after the MP2020 corrections at -687.32 eV for the cell shown.

=====

8.
## AlNiW2O8 (GGA+U)

Data for a relaxed AlNiW2O8 crystal.

```
AlNiW2O8
1.0
5.005 0.000 0.000
0.000 5.675 0.000
-4.846 0.000 9.145
Al Ni W O
2 2 4 16
direct
0.000 0.153 0.250
0.000 0.847 0.750
0.500 0.147 0.750
0.500 0.853 0.250
0.242 0.328 0.998
0.242 0.672 0.498
0.758 0.328 0.502
0.758 0.672 0.002
0.182 0.388 0.614
0.182 0.612 0.114
0.207 0.140 0.136
0.207 0.860 0.636
0.257 0.102 0.870
0.257 0.898 0.370
0.307 0.381 0.387
0.307 0.619 0.887
0.693 0.381 0.113
0.693 0.619 0.613
0.743 0.102 0.630
0.743 0.898 0.130
0.793 0.140 0.364
0.793 0.860 0.864
0.818 0.388 0.886
0.818 0.612 0.386
```

Results
The space-group type is P2/c. Its final energy is -167.12 eV per cell. The calculation puts the total energy after the MP2020 corrections at -200.95 eV for the cell shown.

=====

9.
## BaSmEuWO6 (GGA+U)

Data for a relaxed BaSmEuWO6 crystal.

```
BaSmEuWO6
1.0
5.911 0.000 0.000
0.000 5.911 0.000
0.000 0.000 8.721
Ba Sm Eu W O
2 2 2 2 12
direct
0.000 0.500 0.250
0.500 0.000 0.750
0.000 0.000 0.000
0.500 0.500 0.500
0.000 0.500 0.750
0.500 0.000 0.250
0.000 0.000 0.500
0.500 0.500 0.000
0.000 0.000 0.262
0.000 0.000 0.738
0.166 0.298 0.513
0.202 0.334 0.987
0.298 0.834 0.487
0.334 0.798 0.013
0.500 0.500 0.238
0.500 0.500 0.762
0.666 0.202 0.013
0.702 0.166 0.487
0.798 0.666 0.987
0.834 0.702 0.513
```

Results
The space-group type is P-4n2. Its final energy is -162.13 eV per cell. The calculation puts the total energy after the MP2020 corrections at -179.25 eV for the cell shown.

=====

no.,E_form (eV per atom)
1,-1.6648
2,-1.8815
3,-2.5552
4,-1.1145
5,-2.0683
6,-1.7892
7,-2.3842
8,-2.1207
9,-3.0082